This record from the Materials Project describes a relaxed structure of Tb2MnNiO6. The functional is PBE with a Hubbard U.

Summary:
The space group is P2_1/c (14). Its formation energy from the elements is -2.8508 eV/atom. For the total magnetic moment, the calculation gives 10.00 μB per cell.

Cell: 5.294 5.606 9.232 Å, 90.00 124.62 90.00°
Fractional positions:
Tb 0.230 0.070 0.249
Tb 0.230 0.430 0.749
Tb 0.770 0.570 0.251
Tb 0.770 0.930 0.751
Mn 0.500 0.000 0.000
Mn 0.500 0.500 0.500
Ni 0.000 0.000 0.500
Ni 0.000 0.500 0.000
O 0.151 0.189 0.948
O 0.151 0.311 0.448
O 0.259 0.708 0.944
O 0.259 0.792 0.444
O 0.363 0.034 0.757
O 0.363 0.466 0.257
O 0.637 0.534 0.743
O 0.637 0.966 0.243
O 0.741 0.208 0.556
O 0.741 0.292 0.056
O 0.849 0.689 0.552
O 0.849 0.811 0.052

This record from the Materials Project describes a relaxed structure of LiTiFe5O8. The functional is PBE with a Hubbard U.

Summary:
The space group is Cm (8). The value obtained for the energy above the most stable polymorph in this dataset is 178 meV/atom. Its formation energy from the elements is -1.7164 eV/atom. For the total magnetic moment, the calculation gives 3.00 μB per cell.

Cell: 6.186 6.186 6.280 Å, 119.68 119.68 60.03°
Fractional positions:
Li 0.000 0.000 0.000
Ti 0.136 0.136 0.412
Fe 0.134 0.134 0.868
Fe 0.135 0.597 0.868
Fe 0.493 0.493 0.482
Fe 0.597 0.135 0.868
Fe 0.756 0.756 0.271
O 0.348 0.904 0.155
O 0.363 0.882 0.611
O 0.364 0.364 0.612
O 0.370 0.370 0.111
O 0.882 0.363 0.611
O 0.887 0.887 0.666
O 0.904 0.348 0.155
O 0.904 0.904 0.155

This record from the Materials Project describes a relaxed structure of Li3Cr4P6O24. The functional is PBE with a Hubbard U.

Summary:
The space group is P1 (1). The value obtained for the energy above the most stable polymorph in this dataset is 55 meV/atom. Its formation energy from the elements is -2.4581 eV/atom. For the total magnetic moment, the calculation gives 18.00 μB per cell.

Cell: 9.729 9.797 9.811 Å, 85.87 85.47 85.73°
Fractional positions:
Li 0.000 0.000 0.000
Li 0.054 0.634 0.440
Li 0.399 0.154 0.976
Li 0.456 0.369 0.769
Li 0.595 0.437 0.501
Li 0.943 0.864 0.262
Cr 0.002 0.330 0.502
Cr 0.217 0.888 0.715
Cr 0.220 0.112 0.500
Cr 0.442 0.114 0.283
Cr 0.498 0.613 0.217
Cr 0.718 0.828 0.777
Cr 0.719 0.612 0.000
Cr 0.945 0.397 0.003
P 0.017 0.714 0.924
P 0.126 0.188 0.201
P 0.151 0.204 0.800
P 0.286 0.816 0.398
P 0.321 0.411 0.432
P 0.419 0.681 0.903
P 0.517 0.037 0.596
P 0.625 0.314 0.074
P 0.649 0.912 0.090
P 0.796 0.513 0.704
P 0.818 0.542 0.301
P 0.919 0.016 0.571
O 0.017 0.269 0.870
O 0.049 0.800 0.037
O 0.053 0.558 0.949
O 0.058 0.067 0.158
O 0.070 0.328 0.137
O 0.082 0.760 0.781
O 0.083 0.984 0.580
O 0.096 0.198 0.363
O 0.141 0.239 0.639
O 0.143 0.043 0.831
O 0.157 0.775 0.342
O 0.162 0.450 0.448
O 0.275 0.779 0.557
O 0.284 0.249 0.843
O 0.286 0.175 0.164
O 0.300 0.978 0.369
O 0.347 0.248 0.418
O 0.353 0.025 0.626
O 0.353 0.816 0.839
O 0.375 0.476 0.292
O 0.378 0.552 0.846
O 0.385 0.674 0.061
O 0.399 0.446 0.550
O 0.423 0.750 0.339
O 0.512 0.986 0.144
O 0.552 0.049 0.438
O 0.554 0.269 0.955
O 0.557 0.163 0.658
O 0.569 0.250 0.215
O 0.583 0.692 0.872
O 0.583 0.900 0.654
O 0.592 0.477 0.082
O 0.635 0.750 0.126
O 0.652 0.939 0.929
O 0.657 0.549 0.335
O 0.674 0.442 0.666
O 0.776 0.673 0.668
O 0.781 0.952 0.142
O 0.785 0.285 0.060
O 0.808 0.486 0.865
O 0.846 0.533 0.138
O 0.852 0.739 0.912
O 0.855 0.952 0.707
O 0.876 0.405 0.367
O 0.876 0.956 0.445
O 0.887 0.665 0.342
O 0.888 0.174 0.564
O 0.937 0.468 0.632

This record from the Materials Project describes a relaxed structure of Li2VFeP2H2O10. The functional is PBE with a Hubbard U.

Summary:
The value obtained for the energy above the most stable polymorph in this dataset is 2 meV/atom. Its formation energy from the elements is -2.3682 eV/atom. For the total magnetic moment, the calculation gives 0.00 μB per cell.

Cell: 6.967 7.392 7.990 Å, 90.98 92.69 116.98°
Fractional positions:
O 0.942 0.723 0.895
O 0.035 0.620 0.239
O 0.823 0.659 0.480
O 0.535 0.620 0.739
O 0.687 0.927 0.942
O 0.465 0.380 0.261
O 0.112 0.118 0.773
O 0.677 0.341 0.020
O 0.965 0.380 0.761
O 0.888 0.882 0.227
O 0.058 0.277 0.105
O 0.177 0.341 0.520
O 0.323 0.659 0.980
O 0.388 0.882 0.727
O 0.558 0.277 0.605
O 0.442 0.723 0.395
O 0.612 0.118 0.273
O 0.187 0.927 0.442
O 0.313 0.073 0.058
O 0.813 0.073 0.558
Fe 0.000 0.500 0.000
Fe 0.500 0.500 0.500
V 0.000 0.000 0.000
V 0.500 0.000 0.500
Li 0.430 0.176 0.825
Li 0.930 0.176 0.325
Li 0.570 0.824 0.175
Li 0.070 0.824 0.675
H 0.210 0.341 0.150
H 0.790 0.659 0.850
H 0.290 0.659 0.350
H 0.710 0.341 0.650
P 0.519 0.232 0.157
P 0.481 0.768 0.843
P 0.019 0.232 0.657
P 0.981 0.768 0.343

This record from the Materials Project describes a relaxed structure of Sr4LiMn2Cu3S4O4. The functional is PBE with a Hubbard U.

Summary:
The space group is P1 (1). The value obtained for the energy above the most stable polymorph in this dataset is 98 meV/atom. Its formation energy from the elements is -1.7442 eV/atom. For the total magnetic moment, the calculation gives 10.00 μB per cell.

Cell: 5.991 5.992 8.961 Å, 70.48 88.69 86.08°
Fractional positions:
Sr 0.000 0.000 0.000
Sr 0.044 0.248 0.608
Sr 0.453 0.656 0.608
Sr 0.498 0.512 0.000
Li 0.749 0.960 0.591
Mn 0.504 0.092 0.828
Mn 0.995 0.592 0.828
Cu 0.249 0.109 0.295
Cu 0.749 0.111 0.290
Cu 0.749 0.608 0.296
S 0.506 0.273 0.450
S 0.508 0.938 0.154
S 0.990 0.420 0.154
S 0.992 0.789 0.449
O 0.249 0.354 0.804
O 0.249 0.851 0.809
O 0.749 0.355 0.802
O 0.749 0.853 0.805

This record from the Materials Project describes a relaxed structure of Mn2CdO4. The functional is PBE with a Hubbard U.

Summary:
The space group is Fddd (70). Its formation energy from the elements is -1.8677 eV/atom.

Cell: 6.518 6.512 5.930 Å, 62.98 62.88 54.14°
Fractional positions:
Mn 0.000 0.000 0.000
Mn 0.000 0.000 0.500
Mn 0.000 0.500 0.000
Mn 0.500 0.000 0.000
Cd 0.375 0.375 0.375
Cd 0.625 0.625 0.625
O 0.201 0.767 0.767
O 0.233 0.234 0.799
O 0.233 0.799 0.234
O 0.234 0.233 0.233
O 0.766 0.767 0.767
O 0.767 0.201 0.766
O 0.767 0.766 0.201
O 0.799 0.233 0.233

This record from the Materials Project describes a relaxed structure of Li6MnO6. The functional is PBE with a Hubbard U.

Summary:
The space group is P-1 (2). Its formation energy from the elements is -1.8916 eV/atom. For the total magnetic moment, the calculation gives 1.00 μB per cell.

Cell: 5.435 5.458 5.467 Å, 64.06 64.05 64.11°
Fractional positions:
Li 0.006 0.422 0.286
Li 0.218 0.995 0.078
Li 0.423 0.785 0.507
Li 0.577 0.215 0.493
Li 0.782 0.005 0.922
Li 0.994 0.578 0.714
Mn 0.500 0.500 0.000
O 0.145 0.701 0.909
O 0.297 0.594 0.352
O 0.410 0.146 0.205
O 0.590 0.854 0.795
O 0.703 0.406 0.648
O 0.855 0.299 0.091

This record from the Materials Project describes a relaxed structure of NaFe9Si6B3H2O31. The functional is PBE with a Hubbard U.

Summary:
The space group is P1 (1). The value obtained for the energy above the most stable polymorph in this dataset is 0 meV/atom. Its formation energy from the elements is -2.3989 eV/atom. For the total magnetic moment, the calculation gives 44.00 μB per cell.

Cell: 7.616 9.804 9.806 Å, 113.72 104.86 104.79°
Fractional positions:
Na 0.000 0.000 0.000
Fe 0.112 0.435 0.780
Fe 0.114 0.784 0.456
Fe 0.328 0.211 0.668
Fe 0.338 0.998 0.818
Fe 0.339 0.663 0.237
Fe 0.347 0.820 0.007
Fe 0.524 0.183 0.190
Fe 0.671 0.331 0.569
Fe 0.676 0.558 0.342
Si 0.572 0.619 0.821
Si 0.574 0.811 0.634
Si 0.758 0.808 0.194
Si 0.762 0.184 0.821
Si 0.948 0.189 0.384
Si 0.952 0.378 0.200
B 0.324 0.994 0.331
B 0.326 0.325 0.006
B 0.999 0.669 0.680
H 0.022 0.618 0.009
H 0.407 0.388 0.399
O 0.028 0.273 0.283
O 0.118 0.278 0.569
O 0.122 0.562 0.290
O 0.127 0.813 0.823
O 0.148 0.611 0.008
O 0.161 0.998 0.624
O 0.266 0.852 0.337
O 0.268 0.331 0.864
O 0.301 0.988 0.184
O 0.307 0.179 0.001
O 0.361 0.620 0.832
O 0.361 0.816 0.630
O 0.407 0.142 0.476
O 0.409 0.470 0.154
O 0.522 0.986 0.991
O 0.536 0.796 0.182
O 0.539 0.395 0.405
O 0.543 0.178 0.812
O 0.553 0.432 0.725
O 0.558 0.718 0.447
O 0.646 0.718 0.731
O 0.741 0.201 0.389
O 0.745 0.382 0.210
O 0.752 0.721 0.007
O 0.752 0.997 0.740
O 0.837 0.719 0.290
O 0.838 0.279 0.729
O 0.919 0.998 0.281
O 0.927 0.276 0.010
O 0.935 0.524 0.681
O 0.936 0.667 0.534

Electronic total energy for every record listed, in sequence, given in eV for the cell shown: -148.15; -100.71; -524.07; -240.53; -98.93; -92.06; -69.10; -373.46.